Entry 1:
First-principles (PBE) data for crystalline BeB4O8 at its relaxed geometry, as listed in the Materials Project database.

## Properties
Space-group type   P2_1/c

abc: 4.344 7.342 19.295
angles: 70.08 90.00 90.00
Fractional coordinates of all 52 atoms:
B: 0.783 0.051 0.372
B: 0.916 0.216 0.648
B: 0.919 0.680 0.805
B: 0.370 0.235 0.026
B: 0.081 0.320 0.195
B: 0.130 0.235 0.526
B: 0.416 0.784 0.852
B: 0.630 0.765 0.974
B: 0.870 0.765 0.474
B: 0.581 0.680 0.305
B: 0.084 0.784 0.352
B: 0.217 0.949 0.628
B: 0.584 0.216 0.148
B: 0.717 0.051 0.872
B: 0.283 0.949 0.128
B: 0.419 0.320 0.695
O: 0.055 0.567 0.770
O: 0.508 0.990 0.831
O: 0.912 0.221 0.160
O: 0.012 0.680 0.430
O: 0.492 0.010 0.169
O: 0.588 0.221 0.660
O: 0.677 0.664 0.048
O: 0.262 0.045 0.052
O: 0.992 0.990 0.331
O: 0.412 0.779 0.340
O: 0.445 0.567 0.270
O: 0.945 0.433 0.230
O: 0.405 0.310 0.196
O: 0.008 0.010 0.669
O: 0.555 0.433 0.730
O: 0.762 0.955 0.448
O: 0.238 0.045 0.552
O: 0.905 0.690 0.304
O: 0.095 0.310 0.696
O: 0.488 0.680 0.930
O: 0.323 0.336 0.952
O: 0.103 0.797 0.164
O: 0.988 0.320 0.570
O: 0.088 0.779 0.840
O: 0.397 0.797 0.664
O: 0.738 0.955 0.948
O: 0.595 0.690 0.804
O: 0.177 0.336 0.452
O: 0.512 0.320 0.070
O: 0.897 0.203 0.836
O: 0.603 0.203 0.336
O: 0.823 0.664 0.548
Be: 0.402 0.622 0.741
Be: 0.098 0.622 0.241
Be: 0.598 0.378 0.259
Be: 0.902 0.378 0.759



Entry 2:
First-principles (PBE) data for crystalline Mg6CuSi at its relaxed geometry, as listed in the Materials Project database.

## Properties
Space-group type   Amm2

abc: 6.056 6.056 4.955
angles: 90.00 90.00 120.34
Fractional coordinates of all 8 atoms:
Si: 0.333 0.667 0.500
Mg: 0.659 0.833 0.000
Mg: 0.330 0.151 0.500
Mg: 0.833 0.167 0.500
Mg: 0.849 0.670 0.500
Mg: 0.667 0.333 0.000
Mg: 0.167 0.341 0.000
Cu: 0.164 0.836 0.000



Entry 3:
First-principles (PBE) data for crystalline ErTe3 at its relaxed geometry, as listed in the Materials Project database.

## Properties
Space-group type   Cmcm

abc: 13.110 13.110 4.340
angles: 90.00 90.00 160.96
Fractional coordinates of all 8 atoms:
Er: 0.830 0.170 0.250
Er: 0.170 0.830 0.750
Te: 0.707 0.293 0.250
Te: 0.075 0.925 0.250
Te: 0.925 0.075 0.750
Te: 0.575 0.425 0.750
Te: 0.425 0.575 0.250
Te: 0.293 0.707 0.750



Entry 4:
First-principles (PBE) data for crystalline ZnSiAs2 at its relaxed geometry, as listed in the Materials Project database.

## Properties
Maximum piezoelectric response   0.20 C/m2
Space-group type   I-42d

abc: 6.834 6.834 6.834
angles: 130.90 130.90 71.97
Fractional coordinates of all 8 atoms:
As: 0.138 0.625 0.013
As: 0.875 0.862 0.487
As: 0.612 0.125 0.987
As: 0.375 0.388 0.513
Si: 0.250 0.750 0.500
Si: 0.500 0.500 0.000
Zn: 0.750 0.250 0.500
Zn: 0.000 0.000 0.000



Entry 5:
First-principles (PBE) data for crystalline CeSe2 at its relaxed geometry, as listed in the Materials Project database.

## Properties
Space-group type   I-42d

abc: 7.392 7.392 7.392
angles: 126.09 126.09 79.73
Fractional coordinates of all 6 atoms:
Se: 0.375 0.882 0.007
Se: 0.118 0.125 0.493
Se: 0.632 0.625 0.507
Se: 0.875 0.368 0.993
Ce: 0.000 0.000 0.000
Ce: 0.750 0.250 0.500



Entry 6:
First-principles (PBE) data for crystalline NaLa2IrO6 at its relaxed geometry, as listed in the Materials Project database.

## Properties
Space-group type   P2_1/c

abc: 6.021 5.631 9.820
angles: 55.72 90.00 90.00
Fractional coordinates of all 20 atoms:
La: 0.431 0.771 0.247
La: 0.069 0.771 0.747
La: 0.569 0.229 0.753
La: 0.931 0.229 0.253
O: 0.674 0.155 0.051
O: 0.221 0.272 0.065
O: 0.953 0.382 0.732
O: 0.779 0.728 0.935
O: 0.721 0.728 0.435
O: 0.826 0.155 0.551
O: 0.547 0.382 0.232
O: 0.279 0.272 0.565
O: 0.047 0.618 0.268
O: 0.326 0.845 0.949
O: 0.453 0.618 0.768
O: 0.174 0.845 0.449
Na: 0.000 0.000 0.000
Na: 0.500 0.000 0.500
Ir: 0.500 0.500 0.000
Ir: 0.000 0.500 0.500



Result set for calculated formation energy: -2488; 81; -1207; -197; -1411; -2704 meV per atom, one per record in the order listed.
Result set for uncorrected energy: -387.539; -18.550; -35.116; -33.581; -32.427; -145.268 eV per cell, one per record in the order listed.